No. 1
44
Lattice="7.4696 0.0000 0.0000 0.0000 9.3813 0.0000 0.0000 0.0000 13.9779" Properties=species:S:1:pos:R:3 comment="K2CrH2Cl5O GGA+U optimized geometry" density_kg_m3=2207 spacegroup=Pnma crystal_system=orthorhombic pbc="T T T"
K 4.7155 0.0220 4.8735
K 0.9807 9.3593 2.1154
K 2.7541 4.7127 9.1044
K 6.4889 4.6686 11.8624
K 2.7541 9.3593 9.1044
K 6.4889 0.0220 11.8624
K 4.7155 4.6686 4.8735
K 0.9807 4.7127 2.1154
Cr 1.4194 7.0360 5.5027
Cr 5.1542 2.3453 1.4863
Cr 6.0502 2.3453 8.4752
Cr 2.3154 7.0360 12.4916
H 7.2099 7.8359 7.4687
H 3.4750 1.5454 13.4981
H 0.2598 3.1453 6.5092
H 3.9946 6.2360 0.4798
H 0.2598 1.5454 6.5092
H 3.9946 7.8359 0.4798
H 7.2099 6.2360 7.4687
H 3.4750 3.1453 13.4981
Cl 1.4291 0.0376 5.5664
Cl 5.1640 9.3437 1.4226
Cl 6.0405 4.7282 8.4115
Cl 2.3057 4.6531 12.5553
Cl 6.0405 9.3437 8.4115
Cl 2.3057 0.0376 12.5553
Cl 1.4291 4.6531 5.5664
Cl 5.1640 4.7282 1.4226
Cl 6.9266 7.0360 4.1390
Cl 3.1917 2.3453 2.8499
Cl 0.5431 2.3453 9.8389
Cl 4.2779 7.0360 11.1279
Cl 2.7965 7.0360 3.5737
Cl 6.5313 2.3453 3.4153
Cl 4.6732 2.3453 10.4042
Cl 0.9383 7.0360 10.5626
Cl 3.3907 7.0360 6.8842
Cl 7.1255 2.3453 0.1048
Cl 4.0789 2.3453 7.0937
Cl 0.3441 7.0360 13.8731
O 0.2645 7.0360 7.2081
O 3.9993 2.3453 13.7587
O 7.2052 2.3453 6.7697
O 3.4704 7.0360 0.2192

***

No. 2
144
Lattice="-3.2347 6.3505 0.5271 -1.3433 0.0774 -9.1770 -20.1082 -10.4795 2.8550" Properties=species:S:1:pos:R:3 comment="NaCrH22N6Cl4O2 GGA+U optimized geometry" density_kg_m3=1557 spacegroup=P2_12_12_1 crystal_system=orthorhombic pbc="T T T"
Na -18.0280 -8.4944 1.6916
Na -10.0167 -1.3256 -7.0436
Na -5.0361 2.5380 -3.0529
Na -16.2917 -0.8212 -3.1849
Cr -3.9795 -0.5753 -7.8907
Cr -13.9263 -3.9607 1.0992
Cr -20.4021 -5.3544 -2.6518
Cr -11.0647 1.7872 -2.1465
H -2.7902 -0.9015 -5.5093
H -7.7643 -3.2001 -4.9565
H -10.1253 -4.2522 -6.3841
H -6.2678 -2.4671 -2.5369
H -10.5055 -4.4931 -3.1378
H -1.9490 0.2135 -6.4307
H -14.0452 -6.5766 1.1612
H -15.6729 -6.9757 -2.1267
H -11.7219 -5.3298 0.6638
H -4.6962 -1.3350 -0.1945
H -7.1277 -2.4975 -1.1059
H -13.2032 -5.0574 -6.8512
H -14.3214 -6.1435 -0.4415
H -3.7034 -0.3726 -1.1540
H -9.7843 -3.1923 -3.8510
H -10.0265 -3.2129 -2.2062
H -11.3526 -3.6274 -5.6275
H -7.8263 -1.9290 -2.5391
H -3.3163 0.6614 -5.6214
H -15.5344 -6.0525 0.6805
H -11.2681 -3.9098 1.3812
H -15.2524 -5.5789 -2.6958
H -5.1780 -0.2729 -3.7373
H -2.5430 1.5078 -8.7541
H -6.4570 -0.6128 -6.8919
H -13.0636 -4.4022 -1.3868
H -18.3041 -6.8933 -3.0847
H -20.9290 -8.4007 0.8772
H -20.6196 -7.9628 -2.7764
H -20.1086 -7.5909 -1.2385
H -15.0923 -4.6272 -5.5111
H -5.6187 0.5472 -6.0612
H -2.7202 1.5545 -0.2217
H -18.6948 -6.1644 -4.5616
H -16.6241 -4.9805 -6.1122
H -3.7799 2.0466 -7.7967
H -6.6607 0.1321 -4.0361
H -6.1690 0.8375 -7.6250
H -12.4975 -2.9467 -0.8520
H -21.7103 -7.5007 -1.6219
H -17.8843 -5.3242 -3.3678
H -20.5939 -6.9616 1.4119
H -18.7643 -5.8298 -0.6107
H -14.0609 -3.0849 -1.4320
H -21.0007 -6.1880 -5.1295
H -16.2526 -3.4456 -5.6454
H -13.9174 -2.3430 -4.2136
H -16.5437 -3.9851 1.1344
H -12.3726 -1.8286 1.7462
H -22.3326 -6.3395 -4.1281
H -8.8943 0.3755 -2.5428
H -7.3930 1.0227 0.7657
H -11.2353 -0.8363 -2.0425
H -18.5385 -4.2865 -1.1390
H -16.1073 -3.1234 -0.2275
H -11.4217 -0.3946 -3.6516
H -8.9726 0.6385 -0.8823
H -19.8346 -4.6534 -0.1300
H -15.1404 -1.6712 -6.6029
H -13.7473 -1.3501 0.9606
H -13.7461 -0.8945 -4.7981
H -16.0567 -2.4199 1.3112
H -21.9400 -4.8739 -4.7786
H -8.4048 1.8142 -1.8992
H -12.6934 -0.2848 -2.5963
H -10.0701 1.4966 -7.6934
H -18.8720 -3.7480 2.5367
H -22.8681 -5.4163 -1.6207
H -18.9763 -3.2521 -3.4792
H -11.0527 0.5115 0.1969
H -7.1856 3.1390 -7.2772
H -3.3449 4.8193 -2.0413
H -4.9791 4.4226 -7.5678
H -4.3393 4.3512 0.1027
H -10.7423 1.5500 -4.7946
H -20.4598 -3.1455 -4.2048
H -22.0275 -4.2057 -0.8652
H -7.4427 3.6821 -5.6948
H -9.5139 2.4988 -4.1440
H -22.6354 -3.9837 -2.4144
H -19.6460 -2.2823 -6.1927
H -20.2641 -2.7396 -2.5832
H -12.5935 0.9695 -0.1790
H -4.7842 5.7191 -8.5763
H -8.6768 3.6733 -6.8196
H -4.7361 5.4535 -2.4040
H -6.5914 4.3723 -0.3772
H -11.5208 2.0711 0.4809
N -3.7217 -1.1274 -0.4516
N -2.8898 -0.1079 -6.1550
N -7.2005 -2.6371 -2.1270
N -9.7591 -3.7977 -3.0195
N -14.5273 -5.9017 0.5405
N -11.9660 -4.6621 1.4180
N -3.5407 1.3763 -8.5501
N -5.7524 0.1285 -6.9949
N -20.7660 -7.3150 -1.9803
N -18.6229 -6.0253 -3.5404
N -13.3332 -3.5511 -0.8755
N -15.8658 -4.2850 -6.1012
N -19.2635 -4.9839 -0.9226
N -21.5372 -5.7327 -4.3801
N -15.8839 -3.2796 0.7690
N -13.3805 -2.0106 1.6705
N -9.1112 1.0729 -1.8082
N -11.6788 -0.1543 -2.6846
N -22.1871 -4.6631 -1.7730
N -19.9817 -3.4030 -3.3272
N -5.4670 5.0201 -8.2605
N -7.6653 3.8387 -6.6914
N -11.6124 1.2885 -0.1792
N -10.5216 2.2932 -4.1145
Cl -7.6599 -2.5992 -8.0845
Cl -17.4023 -7.9694 -1.1677
Cl -20.2754 -9.1531 -4.6806
Cl -12.9272 -4.3536 -4.3623
Cl -2.5481 1.0842 -2.7743
Cl -10.3797 -2.0273 -0.3007
Cl -8.6215 -0.7974 -4.4712
Cl -17.5346 -5.7353 2.3279
Cl -16.5887 -3.5916 -2.4797
Cl -5.6369 1.9640 -0.1976
Cl -4.0975 3.2065 -5.8632
Cl -12.3170 0.1174 -6.0396
Cl -21.5803 -4.9512 1.5864
Cl -14.6199 -0.1293 -0.7452
Cl -17.7119 -1.3004 -5.7532
Cl -7.5894 3.8230 -3.3535
O -14.8945 -6.4679 -2.4608
O -10.5821 -3.3941 -6.2031
O -20.1917 -7.8482 1.2387
O -5.7508 0.5042 -3.9418
O -8.2386 0.6469 1.1107
O -14.3501 -1.4545 -4.2496
O -4.2486 4.5936 -2.3757
O -20.4887 -2.7864 -6.2980

***

| no. | size of the total moment (μB/f.u.) | energy (eV/atom) |
| --- | --- | --- |
| 1 | 3.0 | -4.25 |
| 2 | 3.0 | -4.89 |